# LiV2O5

A relaxed structure of LiV2O5 (r²SCAN, Materials Project).

Structure (CIF):
```
data_LiV2O5
_cell_length_a 7.595
_cell_length_b 6.558
_cell_length_c 7.518
_cell_angle_alpha 90.00
_cell_angle_beta 90.00
_cell_angle_gamma 90.00
_space_group_name_H-M_alt 'P n m a'
_space_group_IT_number 62
_space_group_name_Hall '-P 2ac 2n'
loop_
_atom_site_label
_atom_site_type_symbol
_atom_site_fract_x
_atom_site_fract_y
_atom_site_fract_z
_atom_site_occupancy
Li1 Li 0.000 0.000 0.000 1
V1 V 0.125 0.250 0.371 1
V2 V 0.170 0.750 0.270 1
O1 O 0.055 0.750 0.495 1
O2 O 0.121 0.038 0.235 1
O3 O 0.123 0.250 0.838 1
O4 O 0.189 0.750 0.003 1
```

Values from the calculation:
Its formation enthalpy at 0 K is -2.57 eV/atom. For the raw total energy, the calculation gives -10.125 eV per atom. As for the crystal system: orthorhombic.

# Li2WO4

A relaxed structure of Li2WO4 (r²SCAN, Materials Project).

Structure (CIF):
```
data_Li2WO4
_cell_length_a 9.773
_cell_length_b 5.897
_cell_length_c 5.004
_cell_angle_alpha 90.00
_cell_angle_beta 91.77
_cell_angle_gamma 90.00
_space_group_name_H-M_alt 'C 1 2/c 1'
_space_group_IT_number 15
_space_group_name_Hall '-C 2yc'
loop_
_atom_site_label
_atom_site_type_symbol
_atom_site_fract_x
_atom_site_fract_y
_atom_site_fract_z
_atom_site_occupancy
Li1 Li 0.198 0.150 0.264 1
W1 W 0.000 0.328 0.750 1
O1 O 0.107 0.398 0.067 1
O2 O 0.129 0.141 0.625 1
```

Values from the calculation:
Its formation enthalpy at 0 K is -2.42 eV/atom. For the raw total energy, the calculation gives -13.853 eV per atom. As for the crystal system: monoclinic.

# Li6ZnO4

A relaxed structure of Li6ZnO4 (r²SCAN, Materials Project).

Structure (CIF):
```
data_Li6ZnO4
_cell_length_a 6.479
_cell_length_b 6.479
_cell_length_c 4.607
_cell_angle_alpha 90.00
_cell_angle_beta 90.00
_cell_angle_gamma 90.00
_space_group_name_H-M_alt 'P 42/n m c'
_space_group_IT_number 137
loop_
_space_group_symop_operation_xyz
'x,y,z'
'-x,-y,-z'
'-y+1/2,x,z+1/2'
'y+1/2,-x,-z+1/2'
'-x+1/2,-y+1/2,z'
'x+1/2,y+1/2,-z'
'y,-x+1/2,z+1/2'
'-y,x+1/2,-z+1/2'
'x+1/2,-y,-z'
'-x+1/2,y,z'
'-y,-x,-z+1/2'
'y,x,z+1/2'
'-x,y+1/2,-z'
'x,-y+1/2,z'
'y+1/2,x+1/2,-z+1/2'
'-y+1/2,-x+1/2,z+1/2'
loop_
_atom_site_label
_atom_site_type_symbol
_atom_site_fract_x
_atom_site_fract_y
_atom_site_fract_z
_atom_site_occupancy
Li1 Li 0.031 0.531 0.250 1
Li2 Li 0.250 0.250 0.207 1
Zn1 Zn 0.250 0.750 0.750 1
O1 O 0.014 0.250 0.468 1
```

Values from the calculation:
Its formation enthalpy at 0 K is -1.98 eV/atom. For the raw total energy, the calculation gives -6.267 eV per atom. As for the crystal system: tetragonal.

# Li10Zn4O9

A relaxed structure of Li10Zn4O9 (r²SCAN, Materials Project).

Structure (CIF):
```
data_Li10Zn4O9
_cell_length_a 9.661
_cell_length_b 9.661
_cell_length_c 4.623
_cell_angle_alpha 90.00
_cell_angle_beta 90.00
_cell_angle_gamma 90.00
_space_group_name_H-M_alt 'P 42/n m c'
_space_group_IT_number 137
loop_
_space_group_symop_operation_xyz
'x,y,z'
'-x,-y,-z'
'-y+1/2,x,z+1/2'
'y+1/2,-x,-z+1/2'
'-x+1/2,-y+1/2,z'
'x+1/2,y+1/2,-z'
'y,-x+1/2,z+1/2'
'-y,x+1/2,-z+1/2'
'x+1/2,-y,-z'
'-x+1/2,y,z'
'-y,-x,-z+1/2'
'y,x,z+1/2'
'-x,y+1/2,-z'
'x,-y+1/2,z'
'y+1/2,x+1/2,-z+1/2'
'-y+1/2,-x+1/2,z+1/2'
loop_
_atom_site_label
_atom_site_type_symbol
_atom_site_fract_x
_atom_site_fract_y
_atom_site_fract_z
_atom_site_occupancy
Li1 Li 0.063 0.105 0.041 1
Li2 Li 0.250 0.250 0.081 1
Zn1 Zn 0.088 0.750 0.481 1
O1 O 0.076 0.576 0.250 1
O2 O 0.093 0.250 0.320 1
O3 O 0.250 0.750 0.750 1
```

Values from the calculation:
Its formation enthalpy at 0 K is -1.92 eV/atom. For the raw total energy, the calculation gives -6.844 eV per atom. As for the crystal system: tetragonal.

> Which of these has the lowest raw total energy?

Li2WO4

Please write out number 1 again, unchanged.
# LiV2O5

A relaxed structure of LiV2O5 (r²SCAN, Materials Project).

Structure (CIF):
```
data_LiV2O5
_cell_length_a 7.595
_cell_length_b 6.558
_cell_length_c 7.518
_cell_angle_alpha 90.00
_cell_angle_beta 90.00
_cell_angle_gamma 90.00
_space_group_name_H-M_alt 'P n m a'
_space_group_IT_number 62
_space_group_name_Hall '-P 2ac 2n'
loop_
_atom_site_label
_atom_site_type_symbol
_atom_site_fract_x
_atom_site_fract_y
_atom_site_fract_z
_atom_site_occupancy
Li1 Li 0.000 0.000 0.000 1
V1 V 0.125 0.250 0.371 1
V2 V 0.170 0.750 0.270 1
O1 O 0.055 0.750 0.495 1
O2 O 0.121 0.038 0.235 1
O3 O 0.123 0.250 0.838 1
O4 O 0.189 0.750 0.003 1
```

Values from the calculation:
Its formation enthalpy at 0 K is -2.57 eV/atom. For the raw total energy, the calculation gives -10.125 eV per atom. As for the crystal system: orthorhombic.

> Among the records above, which one has the lowest raw total energy?

Li2WO4